Tm2Pt2O7: relaxed, r²SCAN.

- space group = Fd-3m, No. 227

```
22
Lattice="-7.025 -0.145 -1.240 -4.238 4.951 2.904 -2.999 4.992 -4.123" Properties=species:S:1:pos:R:3 pbc="T T T"
Tm -5.401 6.196 -0.917
O -1.762 2.490 -1.878
Tm -8.914 6.124 -1.537
Pt -3.282 3.721 -2.369
O -4.828 2.427 -2.419
O -5.369 2.409 0.648
O -10.696 7.349 -1.845
O -9.460 4.847 0.401
Tm -6.795 3.648 -2.989
O -7.071 2.057 -1.236
O -5.501 4.929 1.100
O -4.802 4.952 -2.860
O -7.191 7.742 -1.224
O -8.761 4.870 -3.559
O -2.303 2.472 1.189
Pt -5.295 1.152 -0.928
Tm -7.414 3.628 0.524
O -3.519 0.248 -0.619
Pt -3.902 3.700 1.144
O -3.612 4.651 -0.610
O -7.131 4.899 -1.230
Pt -1.783 1.225 -0.307
```

---

YbPtO3: relaxed, r²SCAN.

- space group = Pm-3m, No. 221

```
5
Lattice="3.986 0.000 0.000 0.000 3.986 0.000 0.000 0.000 3.986" Properties=species:S:1:pos:R:3 pbc="T T T"
Pt 1.993 1.993 1.993
O 1.993 1.993 0.000
O 1.993 0.000 1.993
Yb 0.000 0.000 0.000
O 0.000 1.993 1.993
```

---

Rb2Pu2O5: relaxed, r²SCAN.

- space group = P4/mmm, No. 123

```
9
Lattice="4.306 0.000 0.000 0.000 4.305 0.000 0.000 0.000 9.020" Properties=species:S:1:pos:R:3 pbc="T T T"
O 2.153 0.000 6.946
O 2.153 0.000 2.074
O 0.000 0.000 4.510
Rb 2.153 2.153 0.000
O 0.000 2.153 6.946
Rb 2.153 2.153 4.510
Pu 0.000 0.000 6.649
O 0.000 2.153 2.074
Pu 0.000 0.000 2.371
```

---

RbPuO3: relaxed, r²SCAN.

- space group = Pm-3m, No. 221

```
5
Lattice="4.283 0.000 0.000 0.000 4.283 0.000 0.000 0.000 4.283" Properties=species:S:1:pos:R:3 pbc="T T T"
O 0.000 2.141 2.141
Pu 2.141 2.141 2.141
Rb 0.000 0.000 0.000
O 2.141 0.000 2.141
O 2.141 2.141 0.000
```

---

PuSe2O6: relaxed, r²SCAN.

- space group = P2_1/c, No. 14

```
36
Lattice="10.765 0.000 0.000 0.000 7.010 0.000 0.000 4.909 6.927" Properties=species:S:1:pos:R:3 pbc="T T T"
O 6.453 2.946 4.013
Se 7.688 4.184 3.935
O 9.695 0.491 0.549
O 2.626 7.628 1.373
O 3.064 7.322 6.217
Se 4.593 6.595 6.491
O 6.419 6.793 1.277
O 7.701 4.597 0.709
O 4.309 6.528 3.089
Pu 6.420 7.692 3.393
O 4.312 8.973 2.914
O 1.070 11.428 6.377
Pu 1.038 1.772 0.071
Pu 4.345 4.227 3.534
O 9.691 2.937 0.374
O 10.589 5.099 1.982
O 1.036 2.671 2.187
Se 8.460 1.730 0.472
O 4.347 5.126 5.650
O 6.457 5.391 3.837
O 0.176 6.820 4.945
O 2.757 10.082 4.836
O 5.207 4.366 1.482
O 2.319 4.868 2.754
O 1.074 8.982 6.553
O 9.729 9.247 4.740
O 8.139 4.291 5.554
O 5.558 7.553 5.445
O 8.009 1.837 2.091
Se 2.306 10.189 6.455
Se 0.789 4.140 3.028
Se 6.172 5.324 0.436
Se 9.976 7.779 3.899
O 8.447 7.051 4.172
Pu 9.728 10.147 6.856
Se 3.077 7.735 2.991
```

---

Pu2TeO2: relaxed, r²SCAN.

- space group = I4/mmm, No. 139

```
5
Lattice="6.373 -2.879 -0.194 5.075 -0.547 4.784 -6.808 -0.746 -1.425" Properties=species:S:1:pos:R:3 pbc="T T T"
O 2.644 -2.669 0.338
Pu 7.520 -2.251 3.015
Pu 3.928 -1.175 1.575
Te 0.000 0.000 0.000
O 1.995 -1.503 2.827
```

---

YbPuO3: relaxed, r²SCAN.

- space group = Pm-3m, No. 221

```
5
Lattice="4.309 0.000 0.000 0.000 4.309 0.000 0.000 0.000 4.309" Properties=species:S:1:pos:R:3 pbc="T T T"
O 0.000 2.154 2.154
O 2.154 2.154 0.000
O 2.154 0.000 2.154
Yb 0.000 0.000 0.000
Pu 2.154 2.154 2.154
```

---

Rb9O2: relaxed, r²SCAN.

- space group = P2_1/m, No. 11

```
22
Lattice="-5.833 -6.075 0.299 6.650 -2.472 -9.397 8.637 -7.889 8.188" Properties=species:S:1:pos:R:3 pbc="T T T"
Rb 1.150 -11.099 3.672
Rb 4.083 -10.372 0.963
Rb -2.848 -8.144 1.383
Rb 2.000 -5.750 2.018
Rb 7.455 -10.686 -2.928
O 7.486 -5.779 -7.239
Rb 9.844 -12.868 -0.663
Rb 5.278 -6.706 -5.804
Rb 6.157 -3.375 -6.617
O 5.641 -4.540 -4.099
Rb 3.005 -3.902 -4.116
Rb 6.450 -12.534 3.207
Rb 3.298 -13.061 5.708
O 1.969 -10.658 6.330
O 3.814 -11.897 3.190
Rb 8.912 -8.040 1.528
Rb 12.303 -8.292 -2.292
Rb 8.305 -5.337 -4.581
Rb 0.543 -8.396 -2.437
Rb 5.372 -6.064 -1.873
Rb -0.389 -3.568 -0.246
Rb 4.177 -9.730 4.895
```

---

RbSO3: relaxed, r²SCAN.

- space group = P321, No. 150

```
30
Lattice="-0.146 2.750 -9.741 -8.691 -1.576 4.945 -0.128 6.209 1.755" Properties=species:S:1:pos:R:3 pbc="T T T"
S -5.918 3.516 1.081
O -3.339 3.152 -2.891
Rb -2.753 5.393 -7.416
S -3.090 5.943 -3.536
O -4.085 3.771 -5.135
O -1.394 4.903 0.820
S -8.859 2.236 -4.496
O -1.173 1.630 -0.388
O -2.917 6.692 -4.776
O -4.553 0.962 0.884
O -7.670 3.456 5.484
O -5.586 3.484 2.496
O -6.088 1.448 -0.948
Rb -5.370 -0.974 3.056
O -4.908 4.136 0.239
O -7.281 3.931 0.792
O -0.311 3.796 -7.992
O -1.696 3.676 -4.624
S -8.943 6.321 -3.341
O -1.978 6.098 -2.604
Rb -0.107 3.909 -1.973
O -4.397 6.136 -2.917
S -5.875 1.440 0.495
O -7.588 2.785 -4.945
S -3.047 3.867 -4.123
Rb -3.377 0.449 -1.833
O -6.962 0.812 1.238
Rb -6.315 3.935 -2.515
Rb -8.781 0.123 -1.074
O -8.759 5.578 -2.102
```

---

Rb2SO4: relaxed, r²SCAN.

- space group = Pnma, No. 62

```
28
Lattice="-0.585 5.914 0.486 -5.318 -0.987 5.608 7.542 0.156 7.180" Properties=species:S:1:pos:R:3 pbc="T T T"
O 4.016 1.524 4.582
O -2.377 3.560 8.691
Rb -4.163 3.633 5.655
S -1.349 3.747 7.651
O 5.639 4.386 8.291
O 1.636 1.253 5.013
O 3.015 2.481 6.565
O -0.495 5.463 2.635
O -1.614 5.001 6.906
O 3.253 0.082 6.368
Rb 0.908 4.176 5.147
Rb -1.230 1.027 4.309
O 0.003 3.831 8.261
Rb 4.792 4.535 5.460
O -1.377 2.602 6.708
S -1.225 4.188 2.433
O 2.134 -0.379 10.638
Rb -3.153 0.549 7.813
O 3.849 1.082 9.758
Rb 5.802 1.451 7.618
O 1.897 2.020 10.835
O -4.001 0.698 4.982
S 2.988 1.337 5.623
Rb 2.869 4.056 8.965
S 2.864 0.896 10.840
O -0.258 3.064 2.438
Rb 0.731 0.908 8.126
O -2.210 4.002 3.515
```

---

Rb3S2O8: relaxed, r²SCAN.

- space group = C2/c, No. 15

```
26
Lattice="-3.950 2.165 -6.636 -3.022 -3.676 -6.456 -9.598 -1.441 2.700" Properties=species:S:1:pos:R:3 pbc="T T T"
Rb -13.165 -0.933 -6.771
Rb -3.405 -2.019 -3.622
O -12.715 -0.275 -3.917
Rb -8.627 -0.076 -2.354
O -12.811 -3.839 -6.094
O -6.352 -1.535 -3.785
O -5.292 -1.494 -7.933
O -8.513 0.032 -7.541
Rb -10.438 -3.384 -4.473
O -3.758 0.887 -4.298
S -6.897 -2.906 -3.743
O -14.563 -2.741 -8.632
O -9.815 -1.705 -9.992
S -12.220 -0.323 -2.495
O -9.231 0.238 -5.238
O -6.755 -1.247 -0.400
S -4.349 -2.629 -7.897
O -8.057 -2.984 -2.851
Rb -6.131 0.432 -5.919
O -7.339 -3.190 -5.155
O -3.854 -2.677 -6.476
O -2.006 -0.211 -1.760
O -11.277 -1.458 -2.460
S -9.673 -0.046 -6.649
Rb -7.943 -2.876 -8.039
O -10.218 -1.417 -6.607
```

---

Rb2Sb4O11: relaxed, r²SCAN.

- space group = C2/m, No. 12

```
34
Lattice="-7.028 -4.612 -6.296 -4.735 -9.341 -0.802 -5.735 1.868 4.001" Properties=species:S:1:pos:R:3 pbc="T T T"
O -4.770 -6.257 -0.210
O -6.058 -4.063 -0.969
O -4.776 -1.406 0.783
Rb -3.156 -3.684 -1.853
O -4.030 0.895 2.452
O -11.341 -8.689 0.439
O -5.127 -8.534 -1.740
Sb -11.485 -12.769 -6.196
Sb -6.014 0.685 3.099
Sb -11.722 -7.208 -3.868
O -8.673 -3.512 -1.990
O -6.158 -3.395 -3.536
O -2.136 -1.388 -0.303
Sb -3.087 -0.340 0.996
O -11.441 -8.021 -2.129
Sb -6.891 -2.578 -1.900
Sb -14.412 -11.744 -4.093
Rb -14.343 -8.401 -1.244
O -15.362 -10.697 -2.795
Rb -10.254 -5.705 -0.630
O -6.637 -5.419 -5.359
Sb -5.777 -4.876 0.771
O -7.546 -5.837 0.713
O -10.089 -10.659 -2.725
Rb -7.245 -6.380 -2.467
O -8.825 -8.573 -1.108
Sb -10.608 -9.506 -1.197
O -11.064 -8.647 -5.063
O -9.953 -6.247 -3.810
O -13.469 -12.979 -5.549
O -12.723 -10.678 -3.880
O -7.410 -1.425 -0.372
O -6.434 -3.437 1.965
O -12.729 -5.827 -2.887
```

---

Rb4Sb2O5: relaxed, r²SCAN.

- space group = Pnma, No. 62

```
44
Lattice="-4.273 4.372 -2.443 -4.282 -0.301 6.951 10.523 14.253 7.099" Properties=species:S:1:pos:R:3 pbc="T T T"
O 5.601 15.027 7.715
Rb 1.637 8.197 7.369
Rb -1.821 9.967 7.716
O 1.584 16.817 10.089
O -2.621 9.765 4.825
Rb 0.331 10.127 4.238
Rb 1.024 12.445 7.173
Sb 1.873 14.918 10.114
Rb 0.944 5.879 4.434
Sb 3.934 15.059 6.762
O 3.477 14.881 11.171
Sb -1.965 3.265 4.845
O 2.697 10.495 5.700
Sb -2.395 7.861 4.953
Rb 3.170 12.598 3.695
O 5.650 10.880 5.153
Rb -3.165 5.396 1.888
O 0.546 10.347 9.199
O 2.649 14.645 8.268
Rb 3.789 8.357 3.891
Sb 2.148 10.310 10.258
Rb 4.515 17.169 9.520
O 4.589 8.559 6.782
O 3.710 16.962 6.633
Sb 4.364 10.462 6.655
O -1.509 3.443 0.436
O -0.469 9.912 1.327
O 1.422 7.976 2.408
O -0.729 7.829 5.907
Rb 5.133 12.927 9.720
O -3.682 7.443 6.454
O 0.384 1.506 1.518
Sb -0.180 8.013 1.349
O -3.633 3.297 3.893
Rb 7.274 13.080 6.249
Rb -1.202 5.725 7.912
O 2.438 8.412 10.280
Rb -2.547 1.155 2.087
O -1.742 1.361 4.974
Rb -4.690 0.996 5.551
O -0.681 3.679 3.339
Sb 0.095 3.406 1.493
Rb -5.306 5.243 5.358
Rb 6.659 17.328 6.057
```

---

Rb2Se2O7: relaxed, r²SCAN.

- space group = C2/c, No. 15

```
22
Lattice="2.932 -7.037 0.576 4.598 -2.516 -5.565 6.435 2.522 3.603" Properties=species:S:1:pos:R:3 pbc="T T T"
Se 4.890 -6.889 -0.545
O 1.782 -1.416 -0.727
Se 4.783 -4.318 1.318
O 4.650 -6.109 1.074
Se 9.182 -2.713 -2.704
O 3.772 -3.280 -3.446
Rb 6.018 -5.152 -3.613
Rb 8.747 -5.216 -0.012
Rb 7.947 -1.878 2.228
O 6.299 -3.892 0.899
Rb 5.218 -1.815 -1.373
O 7.571 -0.542 -0.358
O 3.677 -3.638 0.333
Se 9.075 -0.142 -0.840
O 4.943 -0.308 1.282
O 10.193 -3.750 2.060
O 7.666 -3.139 -2.285
O 9.022 -6.723 -2.668
O 10.288 -3.392 -1.719
O 6.395 -6.488 -1.028
O 12.183 -5.614 -0.659
O 9.315 -0.921 -2.460
```

---

Rb2SeO4: relaxed, r²SCAN.

- space group = Ama2, No. 40

```
14
Lattice="5.312 3.178 -0.008 -5.312 3.178 -0.007 0.000 0.016 8.418" Properties=species:S:1:pos:R:3 pbc="T T T"
Se -1.605 3.207 6.260
Se 1.604 3.199 2.051
Rb 2.038 3.103 6.261
O 2.559 3.294 3.395
Rb -2.038 3.095 2.052
O -0.535 4.479 6.260
O -2.556 3.298 4.913
O -2.559 3.303 7.605
Rb -0.001 6.333 8.360
O -0.741 1.788 6.264
O 2.555 3.290 0.704
O 0.741 1.780 2.055
Rb 0.001 6.325 4.151
O 0.535 4.471 2.051
```

---

These records have VASP energy values of -21.8555; -22.5837; -28.3802; -26.4385; -18.5315; -44.9328; -30.7277; -13.0906; -9.7625; -10.5905; -9.9563; -13.2762; -14.1229; -10.1426; -10.9616 eV per atom, in the order they appear.
These records have mass density values of 10.86; 10.91; 7.34; 7.98; 6.33; 10.53; 9.65; 1.95; 2.88; 3.67; 3.44; 5.16; 4.31; 3.67; 3.67 Mg/m³, in the order they appear.